{"formula": "Cs3SmP2S8", "functional": "PBE", "state": "relaxed", "lattice_angstrom": [[7.023, 0.000, 0.000], [0.000, 15.653, 0.000], [0.000, 2.694, 15.590]], "species": ["S", "Cs", "S", "P", "Cs", "Cs", "Cs", "P", "Cs", "Sm", "S", "Cs", "S", "S", "S", "S", "S", "S", "S", "S", "S", "S", "S", "S", "Sm", "S", "Sm", "P", "S", "P", "Cs", "S", "Cs", "S", "Sm", "S", "P", "S", "S", "S", "S", "Cs", "S", "Cs", "S", "P", "S", "Cs", "P", "S", "S", "Cs", "S", "S", "S", "P"], "fractional_positions": [[0.506, 0.330, 0.425], [0.254, 0.547, 0.390], [0.486, 0.984, 0.312], [0.755, 0.582, 0.225], [0.244, 0.392, 0.025], [0.256, 0.892, 0.525], [0.744, 0.108, 0.475], [0.245, 0.418, 0.775], [0.756, 0.608, 0.975], [0.732, 0.376, 0.270], [0.339, 0.302, 0.239], [0.258, 0.723, 0.122], [0.986, 0.022, 0.686], [0.532, 0.157, 0.099], [0.968, 0.657, 0.599], [0.249, 0.451, 0.643], [0.514, 0.016, 0.688], [0.761, 0.709, 0.175], [0.014, 0.978, 0.314], [0.494, 0.670, 0.575], [0.994, 0.830, 0.925], [0.032, 0.343, 0.401], [0.986, 0.516, 0.188], [0.249, 0.151, 0.406], [0.268, 0.624, 0.730], [0.251, 0.951, 0.143], [0.768, 0.876, 0.770], [0.255, 0.918, 0.275], [0.161, 0.802, 0.739], [0.774, 0.218, 0.131], [0.754, 0.953, 0.110], [0.749, 0.349, 0.094], [0.758, 0.777, 0.378], [0.839, 0.198, 0.261], [0.232, 0.124, 0.230], [0.514, 0.522, 0.186], [0.726, 0.718, 0.631], [0.751, 0.549, 0.357], [0.251, 0.651, 0.906], [0.014, 0.484, 0.812], [0.239, 0.291, 0.825], [0.242, 0.223, 0.622], [0.468, 0.843, 0.901], [0.746, 0.453, 0.610], [0.006, 0.170, 0.075], [0.745, 0.082, 0.725], [0.261, 0.791, 0.325], [0.742, 0.277, 0.878], [0.226, 0.782, 0.869], [0.751, 0.849, 0.594], [0.749, 0.049, 0.857], [0.246, 0.047, 0.890], [0.739, 0.209, 0.675], [0.661, 0.698, 0.761], [0.486, 0.478, 0.814], [0.274, 0.282, 0.369]], "e_form_ev_per_atom": -1.37, "sg": "P2_1/c, No. 14", "e_tot_ev_per_cell": -265.8, "magmom_total_mub_per_atom": 0.00}


{"formula": "Na3LaAlP3O12", "functional": "PBE", "state": "relaxed", "lattice_angstrom": [[-7.795, 4.495, -1.118], [0.500, -8.665, -2.356], [-6.341, -6.100, 20.703]], "species": ["O", "O", "O", "O", "O", "Al", "O", "Na", "P", "La", "O", "Na", "O", "Na", "O", "O", "O", "O", "O", "Na", "O", "O", "O", "Al", "P", "O", "O", "Al", "O", "Na", "O", "Na", "O", "O", "O", "P", "O", "O", "O", "Na", "O", "P", "O", "O", "Na", "Na", "O", "O", "O", "P", "O", "O", "O", "O", "Al", "O", "O", "O", "O", "P", "O", "Na", "O", "O", "O", "O", "Na", "La", "O", "Na", "O", "O", "La", "P", "O", "O", "La", "P", "O", "Al", "O", "Na", "O", "P", "O", "P", "Na", "O", "O", "P", "Na", "O", "O", "O", "O", "Al", "P", "Na", "O", "P", "O", "O", "P", "Na", "La", "O", "O", "O", "P", "La", "Na", "O", "O", "P", "P", "O", "P", "O", "O", "O"], "fractional_positions": [[0.359, 0.886, 0.583], [0.496, 0.330, 0.727], [0.185, 0.973, 0.203], [0.034, 0.208, 0.206], [0.339, 0.895, 0.987], [0.323, 0.665, 0.321], [0.169, 0.487, 0.262], [0.331, 0.030, 0.417], [0.652, 0.668, 0.907], [0.331, 0.670, 0.810], [0.336, 0.866, 0.874], [0.977, 0.304, 0.416], [0.174, 0.171, 0.693], [0.642, 0.635, 0.737], [0.496, 0.152, 0.919], [0.856, 0.812, 0.584], [0.656, 0.505, 0.228], [0.130, 0.649, 0.098], [0.903, 0.616, 0.023], [0.980, 0.667, 0.919], [0.515, 0.372, 0.421], [0.981, 0.822, 0.107], [0.572, 0.670, 0.846], [0.661, 0.329, 0.678], [0.987, 0.689, 0.737], [0.502, 0.146, 0.236], [0.521, 0.685, 0.252], [0.659, 0.339, 0.481], [0.676, 0.164, 0.139], [0.690, 0.025, 0.919], [0.689, 0.527, 0.639], [0.693, 0.384, 0.336], [0.289, 0.436, 0.462], [0.827, 0.507, 0.734], [0.316, 0.470, 0.732], [0.313, 0.296, 0.736], [0.453, 0.161, 0.520], [0.674, 0.164, 0.730], [0.560, 0.883, 0.476], [0.017, 0.330, 0.101], [0.960, 0.155, 0.586], [0.625, 0.974, 0.416], [0.368, 0.490, 0.354], [0.106, 0.481, 0.585], [0.298, 0.965, 0.097], [0.335, 0.671, 0.662], [0.541, 0.671, 0.959], [0.188, 0.036, 0.587], [0.996, 0.813, 0.687], [0.318, 0.001, 0.252], [0.122, 0.685, 0.481], [0.112, 0.444, 0.861], [0.692, 0.532, 0.527], [0.197, 0.190, 0.400], [0.010, 0.007, 0.643], [0.808, 0.007, 0.409], [0.397, 0.291, 0.035], [0.169, 0.983, 0.924], [0.270, 0.061, 0.309], [0.375, 0.068, 0.581], [0.468, 0.306, 0.144], [0.624, 0.313, 0.831], [0.818, 0.842, 0.212], [0.794, 0.040, 0.798], [0.628, 0.150, 0.419], [0.673, 0.510, 0.911], [0.664, 0.970, 0.586], [0.341, 0.652, 0.521], [0.516, 0.869, 0.100], [0.645, 0.997, 0.249], [0.021, 0.815, 0.408], [0.855, 0.354, 0.230], [0.348, 0.657, 0.025], [0.347, 0.374, 0.409], [0.164, 0.146, 0.108], [0.143, 0.662, 0.732], [0.984, 0.980, 0.335], [0.334, 0.977, 0.927], [0.321, 0.466, 0.106], [0.994, 0.990, 0.160], [0.770, 0.704, 0.312], [0.988, 0.354, 0.733], [0.841, 0.020, 0.109], [0.693, 0.629, 0.584], [0.491, 0.169, 0.631], [0.691, 0.682, 0.250], [0.048, 0.712, 0.585], [0.504, 0.865, 0.364], [0.540, 0.840, 0.733], [0.342, 0.306, 0.099], [0.999, 0.000, 0.501], [0.271, 0.230, 0.801], [0.140, 0.626, 0.371], [0.838, 0.322, 0.638], [0.114, 0.455, 0.975], [0.671, 0.338, 0.182], [0.032, 0.652, 0.420], [0.354, 0.356, 0.249], [0.818, 0.495, 0.125], [0.707, 0.012, 0.736], [0.991, 0.171, 0.923], [0.542, 0.664, 0.590], [0.997, 0.319, 0.252], [0.323, 0.666, 0.178], [0.024, 0.020, 0.840], [0.325, 0.832, 0.263], [0.712, 0.118, 0.031], [0.933, 0.214, 0.310], [0.957, 0.646, 0.090], [0.660, 0.347, 0.997], [0.996, 0.995, 0.002], [0.826, 0.005, 0.688], [0.842, 0.343, 0.917], [0.017, 0.353, 0.919], [0.932, 0.315, 0.583], [0.980, 0.759, 0.799], [0.684, 0.039, 0.095], [0.825, 0.295, 0.525], [0.825, 0.831, 0.915], [0.856, 0.485, 0.423]], "e_above_lowest_polymorph_ev_per_atom": 0.000, "e_form_ev_per_atom": -2.94, "sg": "P1, No. 1", "e_tot_ev_per_cell": -833.3, "magmom_total_mub_per_atom": 0.00}


{"formula": "Na2SO4", "functional": "PBE", "state": "relaxed", "lattice_angstrom": [[-1.541, 3.410, 3.485], [-6.673, -5.833, -1.049], [-0.921, -4.231, 4.714]], "species": ["O", "Na", "O", "O", "O", "O", "S", "O", "O", "Na", "O", "Na", "S", "Na"], "fractional_positions": [[0.536, 0.689, 0.306], [0.748, 0.978, 0.948], [0.675, 0.968, 0.620], [0.129, 0.533, 0.211], [0.121, 0.773, 0.301], [0.724, 0.514, 0.853], [0.765, 0.382, 0.793], [0.601, 0.343, 0.641], [0.110, 0.477, 0.636], [0.726, 0.253, 0.361], [0.766, 0.222, 0.006], [0.071, 0.927, 0.517], [0.232, 0.633, 0.334], [0.431, 0.674, 0.786]], "e_above_lowest_polymorph_ev_per_atom": 0.372, "e_form_ev_per_atom": -1.84, "sg": "P1, No. 1", "e_tot_ev_per_cell": -73.4, "magmom_total_mub_per_atom": 0.00}


{"formula": "La3LuBeS7", "functional": "PBE", "state": "relaxed", "lattice_angstrom": [[5.150, -8.921, 0.000], [5.150, 8.921, 0.000], [0.000, 0.000, 6.189]], "species": ["S", "S", "S", "S", "Lu", "S", "S", "Lu", "La", "S", "La", "S", "S", "S", "Be", "S", "La", "S", "La", "La", "S", "S", "La", "Be"], "fractional_positions": [[0.763, 0.844, 0.270], [0.520, 0.116, 0.529], [0.667, 0.333, 0.009], [0.156, 0.919, 0.270], [0.000, 0.000, 0.518], [0.116, 0.597, 0.029], [0.081, 0.237, 0.270], [0.000, 0.000, 0.018], [0.396, 0.259, 0.249], [0.919, 0.763, 0.770], [0.741, 0.137, 0.249], [0.480, 0.884, 0.029], [0.403, 0.520, 0.029], [0.597, 0.480, 0.529], [0.667, 0.333, 0.661], [0.884, 0.403, 0.529], [0.259, 0.863, 0.749], [0.237, 0.156, 0.770], [0.137, 0.396, 0.749], [0.604, 0.741, 0.749], [0.844, 0.081, 0.770], [0.333, 0.667, 0.509], [0.863, 0.604, 0.249], [0.333, 0.667, 0.161]], "e_form_ev_per_atom": -2.19, "sg": "P6_3, No. 173", "e_tot_ev_per_cell": -149.6, "magmom_total_mub_per_atom": 0.00}


{"formula": "Na2PtO6", "functional": "PBE", "state": "relaxed", "lattice_angstrom": [[5.141, 3.166, 0.000], [-5.141, 3.166, 0.000], [0.000, 1.084, 3.702]], "species": ["O", "Pt", "O", "Na", "Na", "O", "O", "O", "O"], "fractional_positions": [[0.916, 0.216, 0.820], [0.000, 0.000, 0.500], [0.084, 0.784, 0.180], [0.656, 0.344, 0.500], [0.344, 0.656, 0.500], [0.216, 0.916, 0.820], [0.696, 0.696, 0.734], [0.304, 0.304, 0.266], [0.784, 0.084, 0.180]], "e_above_lowest_polymorph_ev_per_atom": 0.000, "e_form_ev_per_atom": -0.74, "sg": "C2/m, No. 12", "e_tot_ev_per_cell": -44.1, "magmom_total_mub_per_atom": 0.22}


{"formula": "TlCrS2", "functional": "PBE", "state": "relaxed", "lattice_angstrom": [[-1.642, -3.081, 6.859], [-1.953, -5.869, 4.579], [1.305, -4.888, 5.800]], "species": ["S", "Tl", "Cr", "S"], "fractional_positions": [[0.610, 0.610, 0.610], [0.834, 0.834, 0.834], [0.000, 0.000, 0.000], [0.390, 0.390, 0.390]], "e_form_ev_per_atom": -0.82, "sg": "R3m, No. 160", "e_tot_ev_per_cell": -22.6}